## AlP3O10 (PBE)

Data for a geometry-optimized AlP3O10 structure.

abc: 7.4166 8.6096 12.8186
angles: 90.00 112.04 90.00
Sites, in units of the cell vectors:
1 Al 0.2315 0.0730 0.2075
2 Al 0.2315 0.4270 0.7075
3 Al 0.7685 0.5730 0.2925
4 Al 0.7685 0.9270 0.7925
5 P 0.1428 0.1086 0.7946
6 P 0.1428 0.3914 0.2946
7 P 0.2125 0.6136 0.4794
8 P 0.2125 0.8864 0.9794
9 P 0.3577 0.0958 0.6433
10 P 0.3577 0.4042 0.1433
11 P 0.6423 0.5958 0.8567
12 P 0.6423 0.9042 0.3567
13 P 0.7875 0.1136 0.0206
14 P 0.7875 0.3864 0.5206
15 P 0.8572 0.6086 0.7054
16 P 0.8572 0.8914 0.2054
17 O 0.0031 0.1507 0.0819
18 O 0.0031 0.3493 0.5819
19 O 0.0689 0.5682 0.7400
20 O 0.0689 0.9318 0.2400
21 O 0.1909 0.2217 0.3023
22 O 0.1909 0.2783 0.8023
23 O 0.2290 0.0256 0.7116
24 O 0.2290 0.4744 0.2116
25 O 0.2388 0.0784 0.5166
26 O 0.2388 0.4216 0.0166
27 O 0.2649 0.0327 0.9149
28 O 0.2649 0.4673 0.4149
29 O 0.2668 0.5654 0.6006
30 O 0.2668 0.9346 0.1006
31 O 0.3281 0.7433 0.9698
32 O 0.3281 0.7567 0.4698
33 O 0.3774 0.2286 0.1627
34 O 0.3774 0.2714 0.6627
35 O 0.4560 0.5042 0.8173
36 O 0.4560 0.9958 0.3173
37 O 0.5440 0.0042 0.6827
38 O 0.5440 0.4958 0.1827
39 O 0.6226 0.7286 0.3373
40 O 0.6226 0.7714 0.8373
41 O 0.6719 0.2433 0.5302
42 O 0.6719 0.2567 0.0302
43 O 0.7332 0.0654 0.8994
44 O 0.7332 0.4346 0.3994
45 O 0.7351 0.5327 0.5851
46 O 0.7351 0.9673 0.0851
47 O 0.7612 0.5784 0.9834
48 O 0.7612 0.9216 0.4834
49 O 0.7710 0.5256 0.7884
50 O 0.7710 0.9744 0.2884
51 O 0.8091 0.7217 0.1977
52 O 0.8091 0.7783 0.6977
53 O 0.9311 0.0682 0.7600
54 O 0.9311 0.4318 0.2600
55 O 0.9969 0.6507 0.4181
56 O 0.9969 0.8493 0.9181

Summary:
- Energy of formation: -2.503 eV per atom
- Crystal system: monoclinic


## AlPO5 (PBE)

Data for a geometry-optimized AlPO5 structure.

abc: 5.0653 5.0653 15.1690
angles: 96.16 96.16 90.01
Sites, in units of the cell vectors:
1 Al 0.0000 0.0000 0.0000
2 Al 0.0000 0.0000 0.5000
3 Al 0.3783 0.6217 0.7500
4 Al 0.6217 0.3783 0.2500
5 P 0.1617 0.4527 0.3736
6 P 0.4527 0.1617 0.8736
7 P 0.5473 0.8383 0.1264
8 P 0.8383 0.5473 0.6264
9 O 0.0110 0.2851 0.0913
10 O 0.0467 0.5565 0.7083
11 O 0.1253 0.6923 0.4407
12 O 0.1461 0.1907 0.4175
13 O 0.1907 0.1461 0.9175
14 O 0.2851 0.0110 0.5913
15 O 0.3077 0.8747 0.0593
16 O 0.4395 0.4651 0.3411
17 O 0.4435 0.9533 0.7917
18 O 0.4651 0.4395 0.8411
19 O 0.5349 0.5605 0.1589
20 O 0.5565 0.0467 0.2083
21 O 0.5605 0.5349 0.6589
22 O 0.6923 0.1253 0.9407
23 O 0.7149 0.9890 0.4087
24 O 0.8093 0.8539 0.0825
25 O 0.8539 0.8093 0.5825
26 O 0.8747 0.3077 0.5593
27 O 0.9533 0.4435 0.2917
28 O 0.9890 0.7149 0.9087

Summary:
- Energy of formation: -2.374 eV per atom
- Crystal system: monoclinic


## Al3P2O16 (PBE)

Data for a geometry-optimized Al3P2O16 structure.

abc: 7.7868 7.8907 11.2151
angles: 98.12 104.57 98.95
Sites, in units of the cell vectors:
1 Al 0.0673 0.3437 0.2933
2 Al 0.3911 0.7501 0.7268
3 Al 0.4181 0.8533 0.2822
4 Al 0.5819 0.1467 0.7178
5 Al 0.6089 0.2499 0.2732
6 Al 0.9327 0.6563 0.7067
7 P 0.3265 0.4388 0.1208
8 P 0.3620 0.1780 0.4484
9 P 0.6380 0.8220 0.5516
10 P 0.6735 0.5612 0.8792
11 O 0.0193 0.6752 0.3962
12 O 0.1240 0.6057 0.3449
13 O 0.1524 0.6526 0.6493
14 O 0.1668 0.7261 0.7885
15 O 0.1832 0.3523 0.1807
16 O 0.1852 0.2511 0.4115
17 O 0.1969 0.8249 0.1554
18 O 0.2540 0.4088 0.9805
19 O 0.2561 0.0980 0.9197
20 O 0.2577 0.0841 0.8114
21 O 0.3191 0.9827 0.3864
22 O 0.3805 0.6387 0.1815
23 O 0.4178 0.2040 0.5917
24 O 0.4522 0.9831 0.7760
25 O 0.4884 0.7202 0.5980
26 O 0.5000 0.3651 0.1645
27 O 0.5000 0.6349 0.8355
28 O 0.5116 0.2798 0.4020
29 O 0.5478 0.0169 0.2240
30 O 0.5822 0.7960 0.4083
31 O 0.6195 0.3613 0.8185
32 O 0.6809 0.0173 0.6136
33 O 0.7423 0.9159 0.1886
34 O 0.7439 0.9020 0.0803
35 O 0.7460 0.5912 0.0195
36 O 0.8031 0.1751 0.8446
37 O 0.8148 0.7489 0.5885
38 O 0.8168 0.6477 0.8193
39 O 0.8332 0.2739 0.2115
40 O 0.8476 0.3474 0.3507
41 O 0.8760 0.3943 0.6551
42 O 0.9807 0.3248 0.6038

Summary:
- Energy of formation: -1.639 eV per atom
- Crystal system: triclinic
- Offset from the most stable computed form: 0.00 eV per formula unit


## Al3P2O16 (PBE)

Data for a geometry-optimized Al3P2O16 structure.

abc: 7.1682 17.5177 9.9512
angles: 90.00 90.00 90.00
Sites, in units of the cell vectors:
1 Al 0.1372 0.0180 0.2298
2 Al 0.1372 0.4820 0.2298
3 Al 0.1536 0.2500 0.7882
4 Al 0.3464 0.7500 0.2882
5 Al 0.3628 0.5180 0.7298
6 Al 0.3628 0.9820 0.7298
7 Al 0.6372 0.0180 0.2702
8 Al 0.6372 0.4820 0.2702
9 Al 0.6536 0.2500 0.7118
10 Al 0.8464 0.7500 0.2118
11 Al 0.8628 0.5180 0.7702
12 Al 0.8628 0.9820 0.7702
13 P 0.1099 0.0891 0.9312
14 P 0.1099 0.4109 0.9312
15 P 0.3901 0.5891 0.4312
16 P 0.3901 0.9109 0.4312
17 P 0.6099 0.0891 0.5688
18 P 0.6099 0.4109 0.5688
19 P 0.8901 0.5891 0.0688
20 P 0.8901 0.9109 0.0688
21 O 0.0766 0.5701 0.1383
22 O 0.0766 0.9299 0.1383
23 O 0.0842 0.0808 0.0849
24 O 0.0842 0.4192 0.0849
25 O 0.0984 0.1765 0.6472
26 O 0.0984 0.3235 0.6472
27 O 0.1013 0.7500 0.2352
28 O 0.1069 0.5261 0.7026
29 O 0.1069 0.9739 0.7026
30 O 0.1700 0.1711 0.9054
31 O 0.1700 0.3289 0.9054
32 O 0.2138 0.1189 0.2975
33 O 0.2138 0.3811 0.2975
34 O 0.2367 0.5317 0.3815
35 O 0.2367 0.9683 0.3815
36 O 0.2476 0.2500 0.2399
37 O 0.2524 0.7500 0.7399
38 O 0.2633 0.0317 0.8815
39 O 0.2633 0.4683 0.8815
40 O 0.2862 0.6189 0.7975
41 O 0.2862 0.8811 0.7975
42 O 0.3300 0.6711 0.4054
43 O 0.3300 0.8289 0.4054
44 O 0.3931 0.0261 0.2026
45 O 0.3931 0.4739 0.2026
46 O 0.3987 0.2500 0.7352
47 O 0.4016 0.6765 0.1472
48 O 0.4016 0.8235 0.1472
49 O 0.4158 0.5808 0.5849
50 O 0.4158 0.9192 0.5849
51 O 0.4234 0.0701 0.6383
52 O 0.4234 0.4299 0.6383
53 O 0.5766 0.5701 0.3617
54 O 0.5766 0.9299 0.3617
55 O 0.5842 0.0808 0.4151
56 O 0.5842 0.4192 0.4151
57 O 0.5984 0.1765 0.8528
58 O 0.5984 0.3235 0.8528
59 O 0.6013 0.7500 0.2648
60 O 0.6069 0.5261 0.7974
61 O 0.6069 0.9739 0.7974
62 O 0.6700 0.1711 0.5946
63 O 0.6700 0.3289 0.5946
64 O 0.7138 0.1189 0.2025
65 O 0.7138 0.3811 0.2025
66 O 0.7367 0.5317 0.1185
67 O 0.7367 0.9683 0.1185
68 O 0.7476 0.2500 0.2601
69 O 0.7524 0.7500 0.7601
70 O 0.7633 0.0317 0.6185
71 O 0.7633 0.4683 0.6185
72 O 0.7862 0.6189 0.7025
73 O 0.7862 0.8811 0.7025
74 O 0.8300 0.6711 0.0946
75 O 0.8300 0.8289 0.0946
76 O 0.8931 0.0261 0.2974
77 O 0.8931 0.4739 0.2974
78 O 0.8987 0.2500 0.7648
79 O 0.9016 0.6765 0.3528
80 O 0.9016 0.8235 0.3528
81 O 0.9158 0.5808 0.9151
82 O 0.9158 0.9192 0.9151
83 O 0.9234 0.0701 0.8617
84 O 0.9234 0.4299 0.8617

Summary:
- Energy of formation: -1.604 eV per atom
- Crystal system: orthorhombic
- Offset from the most stable computed form: 0.74 eV per formula unit